This record from the Materials Project database describes crystalline Ba2HfS4 at its relaxed geometry. The functional is meta-GGA r2SCAN.

**Mass density**: 4.98 g cm⁻³
**ΔH_f (0 K)**: -2.1903 eV/atom
**Spin magnetization**: 0.0000 μB per atom

a b c (Å): 4.9472 4.9472 15.8530
angles (deg): 90.00 90.00 90.00
With the nearest neighbours (Å) after each atom.
Space group I4/mmm (No. 139)
Asymmetric unit:
Ba  0.0000  0.0000  0.1422 x4  5 S 3.11-3.35
Hf  0.0000  0.0000  0.5000 x2  6 S 2.47-2.56
S  0.0000  0.0000  0.3386 x4  1 Hf 2.56
S  0.0000  0.5000  0.0000 x4  2 Hf 2.47

---

This record from the Materials Project database describes crystalline BaHg at its relaxed geometry. The functional is meta-GGA r2SCAN.

**Mass density**: 7.69 g cm⁻³
**ΔH_f (0 K)**: -0.5357 eV/atom
**Spin magnetization**: 0.0000 μB per atom

a b c (Å): 4.1788 4.1788 4.1788
angles (deg): 90.00 90.00 90.00
With the nearest neighbours (Å) after each atom.
Space group Pm-3m (No. 221)
Asymmetric unit:
Ba  0.0000  0.0000  0.0000 x1  8 Hg 3.62
Hg  0.5000  0.5000  0.5000 x1  8 Ba 3.62

---

This record from the Materials Project database describes crystalline Ba2Hg at its relaxed geometry. The functional is meta-GGA r2SCAN.

**Mass density**: 5.75 g cm⁻³
**ΔH_f (0 K)**: -0.3782 eV/atom
**Spin magnetization**: 0.0002 μB per atom

a b c (Å): 4.2282 4.2282 15.3609
angles (deg): 90.00 90.00 90.00
With the nearest neighbours (Å) after each atom.
Space group I4/mmm (No. 139)
Asymmetric unit:
Ba  0.0000  0.0000  0.1282 x4  4 Hg 3.58, 1 Ba 3.94
Hg  0.0000  0.0000  0.5000 x2  8 Ba 3.58

---

This record from the Materials Project database describes crystalline BaHg3 at its relaxed geometry. The functional is meta-GGA r2SCAN.

**Mass density**: 9.98 g cm⁻³
**ΔH_f (0 K)**: -0.4628 eV/atom
**Spin magnetization**: 0.0000 μB per atom

a b c (Å): 7.3850 7.3850 5.2053
angles (deg): 90.00 90.00 120.00
With the nearest neighbours (Å) after each atom.
Space group P6_3/mmc (No. 194)
Asymmetric unit:
Ba  0.3333  0.6667  0.2500 x2  12 Hg 3.54-3.70
Hg  0.1462  0.2924  0.7500 x6  6 Hg 3.20-3.24, 2 Ba 3.54